28
Lattice="-3.258 1.734 -3.952 4.237 -2.778 -4.711 -6.361 -10.659 0.565" Properties=species:S:1:pos:R:3 comment="FeO4F2 | the Materials Project | PBE+U | relaxed" formation_energy_mev_per_atom=-930.4 pbc="T T T"
O -4.178 -3.922 -2.829
O -2.167 -7.149 -4.198
O -3.144 -7.100 -3.461
O 0.262 -1.419 -5.391
O -6.608 -9.652 -1.636
O -1.532 -3.668 -1.895
O -0.635 -1.413 -4.558
O -6.607 -7.989 -3.911
O -0.566 -4.566 -2.020
O -3.429 -8.047 -7.622
O -2.845 -11.537 -5.655
O 1.342 -3.791 -4.318
O -3.733 -8.112 -6.334
O -6.579 -8.387 -5.174
O 2.584 -4.226 -4.467
O -0.336 -5.850 -6.752
F -5.211 -10.584 -7.052
F 0.614 -6.662 -4.126
F -5.173 -5.580 -4.888
F -1.501 -4.347 -4.756
F 0.652 -1.659 -1.962
F -4.342 -9.858 -4.061
F -5.257 -6.453 -1.812
F -2.417 -0.942 -2.507
Fe -0.098 -5.038 -3.864
Fe -1.100 -1.779 -1.607
Fe -6.012 -6.187 -3.425
Fe -5.009 -9.446 -5.682



12
Lattice="3.867 2.893 -1.534 -4.531 2.181 -0.625 0.424 2.580 5.935" Properties=species:S:1:pos:R:3 comment="MgCrO4 | the Materials Project | PBE+U | relaxed" formation_energy_mev_per_atom=-2190.5 e_above_lowest_polymorph_mev_per_atom=0.0 pbc="T T T"
Mg 0.000 0.000 0.000
Mg 0.212 1.290 2.967
O -2.248 3.763 2.392
O -0.432 5.737 2.852
O 1.835 2.837 -1.040
O 0.192 1.917 0.925
O 2.008 3.891 1.385
O -0.144 4.489 -0.170
O -2.075 4.817 4.817
O -0.096 3.164 3.946
Cr 0.976 3.284 0.274
Cr -1.216 4.370 3.502



22
Lattice="5.323 -1.084 1.894 -1.697 -4.873 2.762 3.117 -2.112 -5.380" Properties=species:S:1:pos:R:3 comment="Li2Ni3O6 | the Materials Project | PBE+U | relaxed" formation_energy_mev_per_atom=-1295.3 e_above_lowest_polymorph_mev_per_atom=0.0 pbc="T T T"
O 1.117 -6.031 -1.024
O 3.779 -6.573 -0.076
O 0.950 -1.342 0.950
O 3.612 -1.884 1.897
O 5.794 -6.727 -1.674
O 1.690 -3.501 -2.127
O 5.626 -2.038 0.299
O 3.132 -6.185 -2.621
O 5.053 -4.568 1.403
O 4.352 -4.043 -1.180
O 2.392 -4.026 0.456
O 2.965 -1.496 -0.648
Ni 0.965 -5.415 3.709
Ni 4.002 -3.037 0.394
Ni -1.697 -4.873 2.762
Ni 2.741 -5.032 -1.118
Ni 1.341 -2.495 -0.553
Ni 5.403 -5.574 -0.171
Li 6.212 -3.288 -1.619
Li 3.550 -2.747 -2.567
Li 3.194 -5.322 1.843
Li 0.532 -4.781 0.895



28
Lattice="-2.208 -4.458 -2.622 2.914 -4.799 -0.315 -3.709 -2.797 7.822" Properties=species:S:1:pos:R:3 comment="Li4Co5Ni3O16 | the Materials Project | PBE+U | relaxed" formation_energy_mev_per_atom=-1313.2 pbc="T T T"
O -1.800 -4.824 6.319
O -0.432 -10.075 -0.530
O -2.779 -6.766 5.168
O -2.035 -4.802 3.807
O 0.065 -6.483 -1.102
O -1.383 -4.036 -1.051
O 1.247 -4.211 0.134
O -1.867 -7.714 -0.011
O -0.888 -5.762 1.120
O 0.384 -7.864 1.002
O -1.630 -9.414 2.226
O -0.269 -1.801 0.330
O -4.065 -4.673 5.298
O -3.121 -6.946 2.389
O -2.289 -11.480 3.385
O -0.500 -7.120 3.570
Co -1.331 -7.492 1.847
Co 0.868 -6.080 0.531
Co -2.531 -3.557 5.093
Co -3.415 -5.807 6.723
Co -1.637 -5.913 -0.597
Li -2.997 -12.034 4.874
Li -2.853 -8.668 5.051
Li -1.231 -4.199 2.113
Li -1.839 -1.395 3.876
Ni -0.209 -8.265 -0.758
Ni -3.621 -5.743 3.803
Ni -1.093 -5.912 4.941



28
Lattice="-0.731 4.123 5.532 -6.796 0.704 -2.278 0.308 -10.188 3.501" Properties=species:S:1:pos:R:3 comment="LuMoBrO4 | the Materials Project | PBE+U | relaxed" formation_energy_mev_per_atom=-2516.2 pbc="T T T"
Lu -2.656 0.427 3.485
Lu -4.564 -5.788 3.269
Lu -0.934 -4.629 6.005
Lu -6.285 -0.732 0.750
Mo -6.038 2.209 2.634
Mo -1.182 -7.570 4.120
Mo -4.350 -2.793 5.132
Mo -2.870 -2.568 1.622
Br -0.081 -4.208 3.276
Br -4.736 -8.741 2.857
Br -2.483 3.381 3.898
Br -7.138 -1.152 3.478
O -2.550 -6.437 3.896
O -6.701 2.655 4.223
O -4.275 -6.199 1.084
O -4.240 -1.520 1.175
O -2.980 -3.841 5.579
O -6.757 -5.920 2.856
O -3.466 -3.926 2.630
O -5.574 -3.925 4.302
O -2.051 1.155 1.458
O -0.519 -8.016 2.531
O -5.168 -6.516 5.296
O -1.645 -1.435 2.453
O -3.753 -1.435 4.124
O -0.462 0.559 3.899
O -2.944 0.838 5.670
O -4.670 1.076 2.858



104
Lattice="-2.047 7.471 -3.339 -8.222 3.002 5.107 4.703 8.384 11.955" Properties=species:S:1:pos:R:3 comment="KMo2H29C9O11 | the Materials Project | PBE+U | relaxed" formation_energy_mev_per_atom=-690.6 pbc="T T T"
H -4.328 11.201 6.502
H -5.834 10.076 9.760
H 0.872 6.245 6.631
H -3.057 7.667 10.170
H -8.488 8.091 3.654
H -3.007 15.277 9.121
H -2.492 14.518 12.995
H 2.922 10.765 10.070
H -4.726 5.705 5.177
H -0.093 15.251 10.082
H -4.826 9.512 6.795
H -0.841 13.152 8.547
H -8.261 11.007 3.205
H 0.396 1.301 1.497
H 2.694 7.849 10.519
H -5.962 17.555 12.227
H -3.611 6.808 6.023
H -1.956 12.049 7.701
H -0.740 9.345 6.929
H 1.255 14.245 10.697
H -5.927 7.430 6.211
H 0.360 11.427 7.513
H 0.267 8.781 3.964
H -3.075 4.338 0.729
H -4.127 5.285 6.809
H -1.372 3.795 0.697
H 1.884 12.064 9.419
H -1.485 9.164 4.039
H -1.440 13.571 6.915
H -0.376 14.100 11.416
H -2.560 3.580 4.603
H -4.984 10.201 5.159
H -4.309 13.593 7.202
H -5.127 9.738 2.367
H -4.060 11.858 15.461
H -5.191 4.757 2.308
H -2.524 12.493 4.780
H -1.258 5.263 6.522
H -4.082 9.693 9.685
H -0.920 7.486 4.323
H -1.239 7.656 7.222
H -5.082 9.449 0.601
H -0.582 8.656 8.565
H -2.510 11.190 3.554
H -0.440 9.119 11.357
H -2.088 4.418 2.221
H -4.646 11.371 9.401
H -7.450 6.793 4.305
H -6.822 4.611 3.027
H -3.043 6.363 8.944
H -6.439 12.611 7.093
H -0.485 9.407 13.123
H -3.479 14.439 11.503
H -1.507 6.999 -1.737
H -6.796 7.920 3.086
H 1.229 10.937 10.638
H -5.474 3.606 3.642
H -4.195 15.061 13.027
O -1.510 11.386 13.785
O -3.911 13.011 12.968
O -2.346 9.310 12.176
O 0.848 5.258 6.496
O -0.932 8.079 -0.023
O -6.373 10.904 6.558
O -4.635 10.778 13.747
O 1.413 10.147 8.746
O -6.980 8.709 4.978
O -1.656 5.846 0.756
O -6.415 13.599 7.228
O 0.806 7.952 7.166
O -3.371 6.889 2.777
O -0.865 8.161 2.347
O -4.056 7.471 -0.061
O -0.001 12.115 6.912
O -3.221 9.547 1.548
O -5.953 13.201 11.065
O 0.386 5.656 2.659
O -2.196 11.968 10.947
O -4.702 10.696 11.377
O -5.566 6.742 6.812
Mo -2.847 11.219 12.368
Mo -7.961 9.706 6.383
Mo 2.394 9.151 7.341
Mo -2.720 7.637 1.356
C -9.259 10.952 3.669
C -4.454 6.111 6.164
C -2.067 4.533 1.127
C 1.893 11.014 9.763
C -0.500 8.425 7.491
C -4.823 10.451 9.980
C 0.353 14.810 10.989
C -0.743 8.405 3.744
C -5.067 10.431 6.233
C 3.692 7.904 10.055
C -7.460 7.843 3.961
C -0.991 8.893 12.289
C -1.112 12.745 7.560
C -4.576 9.964 1.435
C -5.920 4.046 2.735
C -0.399 4.804 7.041
C -3.500 14.324 12.597
C -5.168 14.052 6.683
K -6.820 15.438 9.601
K 1.253 3.419 4.123



28
Lattice="5.258 0.000 0.000 -2.509 7.345 0.000 -0.630 -0.966 7.749" Properties=species:S:1:pos:R:3 comment="Li2Cr3FeO8 | the Materials Project | PBE+U | relaxed" formation_energy_mev_per_atom=-2063.7 e_above_lowest_polymorph_mev_per_atom=53.7 pbc="T T T"
O 0.819 6.747 3.032
O -0.852 2.111 4.182
O -1.416 6.419 1.699
O 1.263 0.111 7.528
O -0.856 2.576 6.880
O 4.155 1.379 1.147
O 1.344 -0.393 4.653
O -2.031 4.854 6.598
O 2.985 3.814 0.848
O -0.053 4.627 4.936
O 0.870 6.252 0.270
O 2.137 1.678 2.806
O 2.950 4.363 3.649
O 0.016 4.215 2.263
O 2.116 2.246 5.501
O 3.550 0.013 5.989
Cr -1.620 3.518 5.330
Cr -0.674 4.949 0.485
Cr 2.624 0.299 1.445
Cr -0.463 6.043 6.287
Cr -0.791 5.584 3.385
Cr 2.886 0.801 4.356
Li 0.213 1.149 5.863
Li 1.888 5.262 1.911
Li 2.745 7.327 0.012
Li 1.034 3.192 3.859
Fe 2.788 1.458 7.283
Fe 3.724 2.872 2.414



22
Lattice="5.512 -0.062 0.212 2.074 6.112 0.945 0.027 0.105 7.593" Properties=species:S:1:pos:R:3 comment="ZnCrP2O7 | the Materials Project | PBE+U | relaxed" formation_energy_mev_per_atom=-2463.1 e_above_lowest_polymorph_mev_per_atom=0.0 pbc="T T T"
Zn 3.190 4.061 5.583
Zn 4.424 2.094 3.167
P 1.636 1.289 4.896
P 5.164 1.986 7.332
P 2.450 4.170 1.420
P 5.976 4.866 3.854
Cr 1.883 0.956 1.548
Cr 5.733 5.206 7.198
O 1.974 4.327 7.558
O 4.100 5.928 6.120
O 2.880 2.181 4.720
O 4.732 3.974 4.030
O 6.604 4.333 2.477
O 3.515 0.227 2.629
O 6.961 4.765 5.011
O 1.008 1.821 6.274
O 2.932 2.751 1.801
O 4.683 3.405 6.949
O 0.651 1.390 3.740
O 4.147 0.920 7.002
O 5.641 1.830 1.193
O 3.464 5.238 1.751



46
Lattice="1.224 -0.282 -8.293 -6.519 5.052 -0.619 3.473 7.486 -0.266" Properties=species:S:1:pos:R:3 comment="Li3Fe2P2C2O14 | the Materials Project | PBE+U | relaxed" formation_energy_mev_per_atom=-2157.3 e_above_lowest_polymorph_mev_per_atom=23.0 pbc="T T T"
O 0.828 8.086 -4.356
O 2.853 7.548 -2.944
O -1.309 4.579 -0.918
O -0.403 1.332 -4.947
O -1.833 7.567 -5.318
O 1.688 5.391 -1.749
O -1.482 10.959 -4.289
O 1.004 1.416 -7.793
O -2.642 3.931 -4.782
O 0.820 3.554 -5.841
O -4.887 7.121 -1.397
O -3.308 4.148 -1.736
O -4.605 4.702 -6.263
O 0.504 5.944 -6.128
O -4.138 6.989 -4.538
O -0.045 4.938 -3.825
O -1.822 3.828 -7.808
O -0.415 7.562 -8.273
O 2.345 5.174 -4.575
O -3.589 7.000 -7.488
O -2.131 6.404 -3.038
O -2.875 10.861 -1.428
O -0.545 9.831 -6.427
O -1.316 2.380 -2.787
O 3.008 5.181 -7.836
O -2.821 8.703 -3.210
O 1.471 8.320 -7.425
O 0.208 8.032 -1.305
Li -1.371 1.250 -1.045
Li 1.069 4.754 -7.678
Li -2.920 7.553 -1.455
Li -0.375 10.987 -8.205
Li -1.236 2.813 -6.252
Li -0.014 6.781 -2.808
C 0.840 7.879 -8.482
C -2.562 4.282 -0.677
C -4.258 6.768 -8.587
C 2.379 5.560 -0.642
P 0.901 4.899 -5.048
P -4.092 3.617 -5.277
P 2.244 8.580 -3.924
P -2.719 7.421 -4.078
Fe 1.453 1.592 -5.541
Fe -0.111 7.869 -6.133
Fe -3.200 10.631 -3.592
Fe -1.784 4.328 -3.063



14
Lattice="2.014 4.836 0.000 0.000 0.000 6.379 5.238 -0.054 0.000" Properties=species:S:1:pos:R:3 comment="LiVFeO4 | the Materials Project | PBE+U | relaxed" formation_energy_mev_per_atom=-2210.4 e_above_lowest_polymorph_mev_per_atom=0.0 pbc="T T T"
Fe 2.014 4.836 3.190
Fe 2.014 4.836 0.000
O 4.239 1.132 1.595
O 1.730 1.141 3.009
O 1.730 1.141 0.181
O 5.523 3.641 6.198
O 3.013 3.649 4.784
O 5.523 3.641 3.370
O 4.541 1.332 4.784
O 2.711 3.450 1.595
V 2.561 1.689 1.595
V 4.691 3.093 4.784
Li 4.812 3.173 1.595
Li 2.441 1.609 4.784



22
Lattice="-2.617 -6.823 1.262 2.089 -3.551 6.167 -4.919 -1.014 5.397" Properties=species:S:1:pos:R:3 comment="Ca2Nd2Nb3FeO14 | the Materials Project | PBE+U | relaxed" formation_energy_mev_per_atom=-3223.0 e_above_lowest_polymorph_mev_per_atom=3.9 pbc="T T T"
O -3.403 -7.116 8.012
O -2.090 -3.576 7.924
O -2.108 -9.910 8.634
O -0.492 -5.821 7.888
O -3.444 -6.459 11.122
O -3.340 -1.479 4.192
O -2.004 -4.930 1.704
O -4.746 -4.258 7.395
O -4.956 -5.568 4.938
O -2.045 -4.273 4.814
O -3.357 -7.813 4.902
O -0.702 -7.131 5.431
O -6.290 -8.438 8.156
O 0.842 -2.951 4.670
Ca -2.724 -5.694 6.413
Ca -0.264 -5.187 3.715
Nd -3.768 -3.919 3.330
Nd -1.415 -2.283 5.782
Fe 0.000 0.000 0.000
Nb -2.460 -0.507 2.698
Nb -1.309 -3.412 0.631
Nb 1.044 -1.776 3.083